1.
Cd3SbN | GGA-PBE | relaxed

- energy (eV per atom) = -2.694
- spin magnetization (μB/cell) = 0.00

Cell: 6.634 9.397 6.732 Å, 90.00 90.00 90.00°
Space group Pnma (No. 62)
Inequivalent atoms, fractional coordinates:
Cd 0.013 0.250 0.076 [4 per cell]
Cd 0.230 0.042 0.728 [8 per cell]
Sb 0.024 0.750 0.493 [4 per cell]
N 0.000 0.000 0.000 [4 per cell]

***

2.
Ta6TiTl2O18 | GGA-PBE | relaxed

- energy (eV per atom) = -9.073
- spin magnetization (μB/cell) = 0.00

Cell: 13.188 7.630 8.348 Å, 90.00 90.18 90.00°
Space group C2 (No. 5)
Inequivalent atoms, fractional coordinates:
Ta 0.082 0.000 0.349 [4 per cell]
Ta 0.083 0.504 0.348 [4 per cell]
Ta 0.168 0.251 0.651 [4 per cell]
Ti 0.000 0.253 0.000 [2 per cell]
Tl 0.181 0.712 0.807 [4 per cell]
O 0.051 0.753 0.340 [4 per cell]
O 0.061 0.073 0.139 [4 per cell]
O 0.061 0.435 0.138 [4 per cell]
O 0.071 0.041 0.601 [4 per cell]
O 0.071 0.466 0.601 [4 per cell]
O 0.121 0.255 0.862 [4 per cell]
O 0.142 0.253 0.399 [4 per cell]
O 0.224 0.580 0.341 [4 per cell]
O 0.225 0.928 0.339 [4 per cell]

***

3.
Na7Al2Si3Ge2P3O24 | GGA-PBE | relaxed

- energy (eV per atom) = -6.631
- spin magnetization (μB/cell) = 0.01

Cell: 8.680 8.695 21.589 Å, 89.44 89.78 60.08°
Space group P1 (No. 1)
Inequivalent atoms, fractional coordinates:
Na 0.000 0.000 0.000 [1 per cell]
Na 0.001 0.265 0.501 [1 per cell]
Na 0.003 0.633 0.250 [1 per cell]
Na 0.011 0.627 0.749 [1 per cell]
Na 0.038 0.294 0.832 [1 per cell]
Na 0.300 0.670 0.831 [1 per cell]
Na 0.307 0.297 0.332 [1 per cell]
Na 0.335 0.962 0.415 [1 per cell]
Na 0.336 0.966 0.916 [1 per cell]
Na 0.337 0.600 0.167 [1 per cell]
Na 0.374 0.261 0.001 [1 per cell]
Na 0.375 0.632 0.500 [1 per cell]
Na 0.634 0.999 0.498 [1 per cell]
Na 0.635 0.636 0.001 [1 per cell]
Na 0.664 0.303 0.584 [1 per cell]
Na 0.669 0.665 0.333 [1 per cell]
Na 0.673 0.931 0.833 [1 per cell]
Na 0.674 0.298 0.085 [1 per cell]
Na 0.699 0.968 0.167 [1 per cell]
Na 0.700 0.601 0.665 [1 per cell]
Na 0.975 0.967 0.667 [1 per cell]
Al 0.326 0.967 0.766 [1 per cell]
Al 0.340 0.959 0.567 [1 per cell]
Al 0.345 0.963 0.066 [1 per cell]
Al 0.667 0.305 0.433 [1 per cell]
Al 0.674 0.291 0.935 [1 per cell]
Al 0.998 0.639 0.898 [1 per cell]
Si 0.055 0.252 0.666 [1 per cell]
Si 0.331 0.255 0.166 [1 per cell]
Si 0.336 0.672 0.667 [1 per cell]
Si 0.375 0.594 0.334 [1 per cell]
Si 0.629 0.671 0.166 [1 per cell]
Si 0.673 0.014 0.334 [1 per cell]
Si 0.712 0.922 0.999 [1 per cell]
Si 0.713 0.632 0.500 [1 per cell]
Si 0.961 0.009 0.834 [1 per cell]
Ge 0.010 0.621 0.604 [1 per cell]
Ge 0.341 0.964 0.269 [1 per cell]
Ge 0.664 0.302 0.231 [1 per cell]
Ge 0.670 0.297 0.729 [1 per cell]
Ge 0.998 0.629 0.104 [1 per cell]
Ge 0.998 0.644 0.395 [1 per cell]
P 0.003 0.344 0.998 [1 per cell]
P 0.003 0.921 0.500 [1 per cell]
P 0.050 0.971 0.166 [1 per cell]
P 0.291 0.633 0.999 [1 per cell]
P 0.292 0.343 0.499 [1 per cell]
P 0.382 0.298 0.834 [1 per cell]
P 0.619 0.970 0.667 [1 per cell]
P 0.670 0.587 0.834 [1 per cell]
P 0.958 0.293 0.333 [1 per cell]
O 0.019 0.457 0.661 [1 per cell]
O 0.031 0.800 0.161 [1 per cell]
O 0.042 0.426 0.941 [1 per cell]
O 0.046 0.796 0.444 [1 per cell]
O 0.133 0.998 0.106 [1 per cell]
O 0.134 0.129 0.605 [1 per cell]
O 0.146 0.130 0.327 [1 per cell]
O 0.152 0.663 0.658 [1 per cell]
O 0.159 0.988 0.828 [1 per cell]
O 0.162 0.460 0.158 [1 per cell]
O 0.166 0.157 0.006 [1 per cell]
O 0.169 0.171 0.728 [1 per cell]
O 0.169 0.941 0.505 [1 per cell]
O 0.170 0.425 0.441 [1 per cell]
O 0.171 0.927 0.223 [1 per cell]
O 0.173 0.664 0.942 [1 per cell]
O 0.183 0.601 0.342 [1 per cell]
O 0.194 0.464 0.841 [1 per cell]
O 0.211 0.468 0.556 [1 per cell]
O 0.213 0.591 0.058 [1 per cell]
O 0.296 0.171 0.229 [1 per cell]
O 0.298 0.795 0.727 [1 per cell]
O 0.306 0.802 0.005 [1 per cell]
O 0.309 0.158 0.507 [1 per cell]
O 0.359 0.789 0.325 [1 per cell]
O 0.368 0.129 0.827 [1 per cell]
O 0.373 0.131 0.106 [1 per cell]
O 0.380 0.755 0.606 [1 per cell]
O 0.458 0.466 0.273 [1 per cell]
O 0.463 0.342 0.776 [1 per cell]
O 0.478 0.323 0.494 [1 per cell]
O 0.479 0.467 0.992 [1 per cell]
O 0.494 0.992 0.328 [1 per cell]
O 0.499 0.266 0.892 [1 per cell]
O 0.501 0.755 0.106 [1 per cell]
O 0.503 0.509 0.394 [1 per cell]
O 0.507 0.775 0.827 [1 per cell]
O 0.509 0.999 0.608 [1 per cell]
O 0.512 0.274 0.172 [1 per cell]
O 0.515 0.942 0.006 [1 per cell]
O 0.516 0.476 0.675 [1 per cell]
O 0.518 0.811 0.506 [1 per cell]
O 0.540 0.931 0.725 [1 per cell]
O 0.545 0.799 0.227 [1 per cell]
O 0.631 0.504 0.891 [1 per cell]
O 0.633 0.137 0.395 [1 per cell]
O 0.645 0.134 0.672 [1 per cell]
O 0.647 0.475 0.175 [1 per cell]
O 0.692 0.120 0.993 [1 per cell]
O 0.697 0.453 0.494 [1 per cell]
O 0.708 0.469 0.776 [1 per cell]
O 0.709 0.096 0.271 [1 per cell]
O 0.800 0.793 0.940 [1 per cell]
O 0.804 0.672 0.439 [1 per cell]
O 0.809 0.803 0.661 [1 per cell]
O 0.822 0.662 0.160 [1 per cell]
O 0.828 0.096 0.773 [1 per cell]
O 0.832 0.330 0.993 [1 per cell]
O 0.835 0.106 0.493 [1 per cell]
O 0.835 0.339 0.276 [1 per cell]
O 0.841 0.601 0.840 [1 per cell]
O 0.843 0.593 0.560 [1 per cell]
O 0.844 0.810 0.338 [1 per cell]
O 0.846 0.834 0.060 [1 per cell]
O 0.851 0.276 0.673 [1 per cell]
O 0.861 0.133 0.172 [1 per cell]
O 0.872 0.138 0.893 [1 per cell]
O 0.877 0.264 0.393 [1 per cell]
O 0.963 0.839 0.558 [1 per cell]
O 0.964 0.465 0.056 [1 per cell]
O 0.980 0.462 0.339 [1 per cell]
O 0.982 0.811 0.840 [1 per cell]

***

4.
TbCl3 | GGA-PBE | relaxed

- energy (eV per atom) = -4.808

Cell: 6.531 6.531 11.735 Å, 90.00 90.00 90.00°
Space group P4_2/mnm (No. 136)
Inequivalent atoms, fractional coordinates:
Tb 0.000 0.000 0.173 [4 per cell]
Cl 0.187 0.187 0.000 [4 per cell]
Cl 0.210 0.210 0.329 [8 per cell]

***

5.
Rb2UCl4O4 | GGA-PBE | relaxed

- energy (eV per atom) = -5.051
- spin magnetization (μB/cell) = 4.00

Cell: 6.871 6.988 7.872 Å, 101.09 97.50 118.97°
Space group P-1 (No. 2)
Inequivalent atoms, fractional coordinates:
Rb 0.068 0.291 0.254 [2 per cell]
U 0.500 0.000 0.500 [1 per cell]
Cl 0.251 0.917 0.171 [2 per cell]
Cl 0.345 0.250 0.654 [2 per cell]
O 0.145 0.437 0.911 [2 per cell]
O 0.256 0.744 0.520 [2 per cell]

***

6.
MoC8N4Cl7 | GGA-PBE | relaxed

- energy (eV per atom) = -5.610
- spin magnetization (μB/cell) = 6.00

Cell: 8.553 13.730 8.683 Å, 90.00 90.00 90.00°
Space group P2_12_12 (No. 18)
Inequivalent atoms, fractional coordinates:
Mo 0.000 0.000 0.117 [2 per cell]
C 0.071 0.676 0.839 [4 per cell]
C 0.169 0.639 0.105 [4 per cell]
C 0.218 0.455 0.449 [4 per cell]
C 0.229 0.800 0.412 [4 per cell]
N 0.131 0.652 0.959 [4 per cell]
N 0.229 0.377 0.529 [4 per cell]
Cl 0.000 0.500 0.424 [2 per cell]
Cl 0.093 0.106 0.293 [4 per cell]
Cl 0.134 0.105 0.874 [4 per cell]
Cl 0.216 0.906 0.059 [4 per cell]

***

7.
BaFe2S4 | GGA-PBE | relaxed

- energy (eV per atom) = -5.907
- spin magnetization (μB/cell) = 0.01

Cell: 7.706 7.706 5.056 Å, 90.00 90.00 90.00°
Space group I4 (No. 79)
Inequivalent atoms, fractional coordinates:
Ba 0.000 0.000 0.000 [2 per cell]
Fe 0.000 0.500 0.318 [4 per cell]
S 0.115 0.693 0.564 [8 per cell]

***

8.
NdO2 | GGA-PBE | relaxed

- energy (eV per atom) = -7.283
- spin magnetization (μB/cell) = 4.00

Cell: 6.539 5.404 6.551 Å, 90.00 109.32 90.00°
Space group P2_1/c (No. 14)
Inequivalent atoms, fractional coordinates:
Nd 0.249 0.002 0.252 [4 per cell]
O 0.089 0.705 0.415 [4 per cell]
O 0.410 0.198 0.594 [4 per cell]